Density functional theory data (PBE) for a geometry-optimized Tl5SbO5 structure.

Cell and atoms, written as POSCAR:
```
Tl5SbO5
1.0
5.541 -6.060 0.000
5.541 6.060 0.000
0.000 0.000 14.133
O Tl Sb
20 20 4
Direct
0.753 0.981 0.012
0.305 0.695 0.030
0.001 0.758 0.940
0.937 0.063 0.845
0.819 0.181 0.264
0.516 0.223 0.362
0.999 0.242 0.440
0.946 0.054 0.612
0.758 0.001 0.440
0.063 0.937 0.345
0.242 0.999 0.940
0.181 0.819 0.764
0.223 0.516 0.862
0.054 0.946 0.112
0.777 0.484 0.362
0.247 0.019 0.512
0.019 0.247 0.012
0.981 0.753 0.512
0.484 0.777 0.862
0.695 0.305 0.530
0.639 0.688 0.005
0.072 0.603 0.367
0.475 0.525 0.760
0.258 0.742 0.599
0.525 0.475 0.260
0.037 0.639 0.110
0.603 0.072 0.867
0.361 0.963 0.110
0.928 0.397 0.867
0.312 0.361 0.005
0.397 0.928 0.367
0.688 0.639 0.505
0.198 0.119 0.749
0.802 0.881 0.249
0.963 0.361 0.610
0.639 0.037 0.610
0.742 0.258 0.099
0.119 0.198 0.249
0.881 0.802 0.749
0.361 0.312 0.505
0.244 0.756 0.896
0.756 0.244 0.396
0.994 0.006 0.979
0.006 0.994 0.479
```

Properties
The formation energy comes out at -121.4 kJ per mole of atoms.

=====

Density functional theory data (PBE) for a geometry-optimized TlSb2O6 structure.

Cell and atoms, written as POSCAR:
```
TlSb2O6
1.0
-3.669 3.697 5.272
3.669 -3.697 5.272
3.669 3.697 -5.272
O Sb Tl
12 4 2
Direct
0.671 0.825 0.242
0.324 0.574 0.750
0.068 0.818 0.250
0.917 0.570 0.742
0.671 0.430 0.847
0.932 0.182 0.750
0.083 0.430 0.258
0.329 0.570 0.153
0.329 0.175 0.758
0.676 0.426 0.250
0.917 0.175 0.347
0.083 0.825 0.653
0.500 0.500 0.000
0.000 0.000 0.500
0.000 0.500 0.500
0.000 0.500 0.000
0.500 0.500 0.500
0.500 0.000 0.000
```

Properties
The formation energy comes out at -153.8 kJ per mole of atoms.

=====

Density functional theory data (PBE) for a geometry-optimized TlSbO3 structure.

Cell and atoms, written as POSCAR:
```
TlSbO3
1.0
-6.123 4.074 9.472
2.810 5.176 -1.707
1.088 1.051 -7.051
Tl O Sb
2 6 2
Direct
0.777 0.320 0.019
0.223 0.680 0.981
0.493 0.206 0.580
0.507 0.794 0.420
0.250 0.106 0.612
0.324 0.289 0.739
0.676 0.711 0.261
0.750 0.894 0.388
0.576 0.083 0.311
0.424 0.917 0.689
```

Properties
The formation energy comes out at -92.2 kJ per mole of atoms.

=====

Density functional theory data (PBE) for a geometry-optimized TlSbO3 structure.

Cell and atoms, written as POSCAR:
```
TlSbO3
1.0
7.685 -2.703 0.000
7.685 2.703 0.000
6.735 0.000 4.584
O Sb Tl
6 2 2
Direct
0.833 0.068 0.449
0.932 0.551 0.167
0.068 0.449 0.833
0.551 0.167 0.932
0.449 0.833 0.068
0.167 0.932 0.551
0.167 0.167 0.167
0.833 0.833 0.833
0.618 0.618 0.618
0.382 0.382 0.382
```

Properties
The formation energy comes out at -165.4 kJ per mole of atoms.